Entry 1:
Entry from the Materials Project database: a geometry-optimized MnH5SO7 structure (PBE+U).

Calculated values
The value obtained for the calculated density is 2.4 Mg/m³. The magnetic moment comes out at 16.0 Bohr magnetons per cell.

Lattice parameters (Å, degrees): 7.2740 7.2064 12.1850 61.32 90.00 90.00
Positions (direct):
H1 0.1420 0.7510 0.2537
O1 0.2692 0.4561 0.6537
O2 0.7692 0.5439 0.8463
H2 0.6420 0.2490 0.2463
H3 0.4922 0.9574 0.2374
O3 0.5329 0.1441 0.7936
H4 0.0407 0.2711 0.2397
O4 0.0289 0.8323 0.2172
O5 0.2545 0.5232 0.9367
O6 0.2491 0.1105 0.9821
H5 0.4271 0.2680 0.2389
H6 0.5407 0.7289 0.2603
H7 0.9271 0.7320 0.2611
O7 0.9175 0.2562 0.4992
H8 0.9922 0.0426 0.2626
O8 0.9711 0.1677 0.7828
O9 0.9671 0.1441 0.2936
O10 0.7308 0.5439 0.3463
H9 0.2500 0.2554 0.4732
S1 0.2540 0.6128 0.5210
O11 0.0329 0.8559 0.7064
H10 0.5078 0.0426 0.7626
S2 0.7540 0.3872 0.9790
O12 0.7491 0.8895 0.5179
O13 0.2455 0.5232 0.4367
H11 0.9593 0.7289 0.7603
H12 0.0078 0.9574 0.7374
H13 0.7500 0.7446 0.5268
O14 0.2308 0.4561 0.1537
S3 0.2460 0.6128 0.0210
Mn1 0.5000 0.0000 0.5000
H14 0.0729 0.2680 0.7389
O15 0.5289 0.1677 0.2828
H15 0.7500 0.7446 0.0268
O16 0.4711 0.8323 0.7172
O17 0.2509 0.1105 0.4821
O18 0.7455 0.4768 0.0633
O19 0.4174 0.7618 0.4812
O20 0.4175 0.7438 0.0008
Mn2 0.0000 0.0000 0.0000
O21 0.7509 0.8895 0.0179
H16 0.8580 0.2490 0.7463
H17 0.4593 0.2711 0.7397
Mn3 0.0000 0.0000 0.5000
O22 0.0826 0.7618 0.9812
O23 0.5825 0.2562 0.9992
O24 0.4671 0.8559 0.2064
S4 0.7460 0.3872 0.4790
O25 0.7545 0.4768 0.5633
Mn4 0.5000 0.0000 0.0000
H18 0.2500 0.2554 0.9732
O26 0.5826 0.2382 0.5188
H19 0.5729 0.7320 0.7611
H20 0.3580 0.7510 0.7537
O27 0.0825 0.7438 0.5008
O28 0.9174 0.2382 0.0188



Entry 2:
Entry from the Materials Project database: a geometry-optimized Li7Cr3FeP6O24 structure (PBE+U).

Calculated values
The value obtained for the calculated density is 2.9 Mg/m³. The magnetic moment comes out at 13.0 Bohr magnetons per cell.

Lattice parameters (Å, degrees): 8.7190 8.7190 8.7190 61.04 61.04 61.04
Positions (direct):
O1 0.3003 0.1227 0.5017
Li1 0.7284 0.3923 0.2124
O2 0.8759 0.4899 0.7102
O3 0.5689 0.4130 0.7701
Li2 0.2124 0.7284 0.3923
Li3 0.6424 0.8136 0.2380
P1 0.2515 0.9593 0.5417
O4 0.9741 0.3786 0.2094
O5 0.4362 0.5788 0.2297
Fe1 0.8484 0.8484 0.8484
P2 0.9593 0.5417 0.2515
Cr1 0.1420 0.1420 0.1420
O6 0.7904 0.0347 0.6114
O7 0.9400 0.7256 0.0872
O8 0.0786 0.2626 0.9054
P3 0.4532 0.7484 0.0460
O9 0.2626 0.9054 0.0786
O10 0.9054 0.0786 0.2626
P4 0.7484 0.0460 0.4532
O11 0.7256 0.0872 0.9400
O12 0.7102 0.8759 0.4899
O13 0.2094 0.9741 0.3786
Li4 0.3923 0.2124 0.7284
O14 0.4899 0.7102 0.8759
Li5 0.2380 0.6424 0.8136
O15 0.7701 0.5689 0.4130
O16 0.2297 0.4362 0.5788
Cr2 0.3546 0.3546 0.3546
P5 0.0460 0.4532 0.7484
Li6 0.8136 0.2380 0.6424
O17 0.5788 0.2297 0.4362
O18 0.4130 0.7701 0.5689
O19 0.0872 0.9400 0.7256
O20 0.0347 0.6114 0.7904
O21 0.5017 0.3003 0.1227
O22 0.6114 0.7904 0.0347
P6 0.5417 0.2515 0.9593
O23 0.3786 0.2094 0.9741
Li7 0.9816 0.9816 0.9816
Cr3 0.6445 0.6445 0.6445
O24 0.1227 0.5017 0.3003



Entry 3:
Entry from the Materials Project database: a geometry-optimized Li4Co3O7 structure (PBE+U).

Calculated values
The value obtained for the calculated density is 4.2 Mg/m³. The magnetic moment comes out at 0.6 Bohr magnetons per cell. The calculation puts the energy above the most stable polymorph in this dataset at 35 meV/atom.

Lattice parameters (Å, degrees): 5.1022 7.6789 7.6897 60.51 71.31 77.88
Positions (direct):
Li1 0.5047 0.0693 0.7818
O1 0.2383 0.7420 0.4953
O2 0.7617 0.2580 0.5047
O3 0.7914 0.6826 0.1959
O4 0.2278 0.6218 0.9304
Li2 0.4904 0.7879 0.6393
O5 0.2285 0.0252 0.6697
Li3 0.4996 0.6398 0.0742
O6 0.7836 0.0955 0.9326
Co1 0.9933 0.1408 0.0745
Li4 0.5000 0.5000 0.5000
Li5 0.5096 0.2121 0.3607
O7 0.7722 0.3782 0.0696
O8 0.7596 0.5421 0.6388
Co2 0.0066 0.4240 0.2164
Co3 0.9934 0.5760 0.7836
O9 0.2164 0.9045 0.0674
Co4 0.0028 0.7186 0.3639
Co5 0.0067 0.8592 0.9255
O10 0.2404 0.4579 0.3612
O11 0.7715 0.9748 0.3303
Co6 0.9972 0.2814 0.6361
Li6 0.5004 0.3602 0.9258
Li7 0.0000 0.0000 0.5000
O12 0.7832 0.8111 0.8037
O13 0.2086 0.3174 0.8041
O14 0.2168 0.1889 0.1963
Li8 0.4953 0.9307 0.2182



Entry 4:
Entry from the Materials Project database: a geometry-optimized V4O5F7 structure (PBE+U).

Calculated values
The value obtained for the calculated density is 3.3 Mg/m³. The magnetic moment comes out at 3.0 Bohr magnetons per cell. The calculation puts the energy above the most stable polymorph in this dataset at 22 meV/atom.

Lattice parameters (Å, degrees): 5.2523 5.4010 7.4379 92.23 90.04 90.65
Positions (direct):
V1 0.5086 0.4978 0.4688
F1 0.7106 0.2012 0.9575
O1 0.9255 0.0028 0.2495
F2 0.3062 0.1897 0.4564
F3 0.2892 0.7986 0.0424
F4 0.7972 0.7139 0.9627
V2 0.0083 0.9959 0.5305
O2 0.0725 0.9915 0.7493
O3 0.4273 0.4968 0.7496
F5 0.1898 0.6893 0.4564
O4 0.5722 0.5006 0.2486
V3 0.0078 0.0294 0.0340
O5 0.2051 0.2807 0.0404
F6 0.6871 0.8062 0.5414
V4 0.4885 0.5025 0.9703
F7 0.8042 0.3032 0.5422



Entry 5:
Entry from the Materials Project database: a geometry-optimized YCrO3 structure (PBE+U).

Calculated values
The value obtained for the calculated density is 5.5 Mg/m³.

Lattice parameters (Å, degrees): 5.3173 5.6147 7.6674 90.00 90.00 90.00
Positions (direct):
O1 0.6930 0.3024 0.4426
O2 0.8070 0.8024 0.4426
O3 0.8881 0.5409 0.7500
Cr1 0.5000 0.0000 0.5000
Cr2 0.5000 0.0000 0.0000
O4 0.3881 0.9591 0.2500
O5 0.3070 0.6976 0.5574
O6 0.6930 0.3024 0.0574
O7 0.3070 0.6976 0.9426
Y1 0.0189 0.9326 0.7500
Cr3 0.0000 0.5000 0.0000
O8 0.8070 0.8024 0.0574
Y2 0.5189 0.5674 0.2500
O9 0.1119 0.4591 0.2500
Cr4 0.0000 0.5000 0.5000
O10 0.1930 0.1976 0.5574
O11 0.1930 0.1976 0.9426
Y3 0.4811 0.4326 0.7500
O12 0.6119 0.0409 0.7500
Y4 0.9811 0.0674 0.2500



Entry 6:
Entry from the Materials Project database: a geometry-optimized MnV2Pb2O9 structure (PBE+U).

Calculated values
The value obtained for the calculated density is 5.8 Mg/m³. The magnetic moment comes out at 6.0 Bohr magnetons per cell.

Lattice parameters (Å, degrees): 5.9320 8.2425 9.0967 113.04 90.00 90.00
Positions (direct):
O1 0.2500 0.1688 0.0799
O2 0.9986 0.0315 0.7995
O3 0.7500 0.0934 0.5589
O4 0.2500 0.9066 0.4411
O5 0.0014 0.9685 0.2005
O6 0.7500 0.8312 0.9201
V1 0.2500 0.4148 0.1740
O7 0.2500 0.4895 0.0286
O8 0.2500 0.8415 0.9214
Mn1 0.0000 0.0000 0.0000
O9 0.5092 0.5098 0.7087
O10 0.4986 0.9685 0.2005
O11 0.7500 0.7563 0.5579
O12 0.7500 0.1585 0.0786
Pb1 0.7500 0.2903 0.3668
O13 0.2500 0.2437 0.4421
V2 0.2500 0.0211 0.3231
O14 0.7500 0.5105 0.9714
O15 0.4908 0.4902 0.2913
O16 0.0092 0.4902 0.2913
V3 0.7500 0.9789 0.6769
O17 0.9908 0.5098 0.7087
O18 0.5014 0.0315 0.7995
Mn2 0.5000 0.0000 0.0000
V4 0.7500 0.5852 0.8260
Pb2 0.7500 0.7084 0.2694
Pb3 0.2500 0.7097 0.6332
Pb4 0.2500 0.2916 0.7306



Taking the records one at a time from the top gives DFT formation energy values of -1577 -2586 -1676 -2740 -3200 -2044 meV per atom.